(1)
The following is a PBE with a Hubbard U calculation of a relaxed Eu2CoO4 crystal, from the Materials Project database.

Lattice parameters (Å, degrees): 5.8988 7.1501 10.5786 90.00 116.48 90.00
Closest atoms and distances in Å follow each position.
Element x y z (fractional)
1 Eu 0.0111 0.0069 0.3023  6 O 2.42-2.57
2 Eu 0.0111 0.4931 0.8023  6 O 2.42-2.57
3 Eu 0.2980 0.6451 0.5686  5 O 2.33-2.58
4 Eu 0.2980 0.8549 0.0686  5 O 2.33-2.58
5 Eu 0.7020 0.1451 0.9314  5 O 2.33-2.58
6 Eu 0.7020 0.3549 0.4314  5 O 2.33-2.58
7 Eu 0.9889 0.5069 0.1977  6 O 2.42-2.57
8 Eu 0.9889 0.9931 0.6977  6 O 2.42-2.57
9 Co 0.3534 0.2148 0.5844  4 O 1.82-1.89
10 Co 0.3534 0.2852 0.0844  4 O 1.82-1.89
11 Co 0.6466 0.7148 0.9156  4 O 1.82-1.89
12 Co 0.6466 0.7852 0.4156  4 O 1.82-1.89
13 O 0.1230 0.1549 0.1287  1 Co 1.87
14 O 0.1230 0.3451 0.6287  1 Co 1.87
15 O 0.2606 0.5301 0.0644  1 Co 1.82
16 O 0.2606 0.9699 0.5644  1 Co 1.82
17 O 0.2830 0.1535 0.9155  1 Co 1.89
18 O 0.2830 0.3465 0.4155  1 Co 1.89
19 O 0.2994 0.7341 0.8017  1 Co 1.86
20 O 0.2994 0.7659 0.3017  1 Co 1.86
21 O 0.7006 0.2341 0.6983  1 Co 1.86
22 O 0.7006 0.2659 0.1983  1 Co 1.86
23 O 0.7170 0.6535 0.5845  1 Co 1.89
24 O 0.7170 0.8465 0.0845  1 Co 1.89
25 O 0.7394 0.0301 0.4356  1 Co 1.82
26 O 0.7394 0.4699 0.9356  1 Co 1.82
27 O 0.8770 0.6549 0.3713  1 Co 1.87
28 O 0.8770 0.8451 0.8713  1 Co 1.87

Computed properties:
- size of the total moment (μB/atom) = 2.1429
- crystal system = monoclinic
- volume (Å³/f.u.) = 100
- calculated formation energy (eV/atom) = -2.543



(2)
The following is a PBE with a Hubbard U calculation of a relaxed LiFeP4O12 crystal, from the Materials Project database.

Lattice parameters (Å, degrees): 6.8459 9.1708 7.1951 90.00 95.03 90.00
Closest atoms and distances in Å follow each position.
Element x y z (fractional)
1 Li 0.2372 0.0000 0.2818  2 O 1.87-1.89
2 Li 0.7628 0.5000 0.7182  2 O 1.87-1.89
3 Fe 0.2301 0.7135 0.7449  5 O 1.93-2.11
4 Fe 0.7699 0.2135 0.2551  5 O 1.93-2.11
5 P 0.0707 0.1425 0.9366  4 O 1.48-1.61
6 P 0.0784 0.4916 0.4125  4 O 1.50-1.61
7 P 0.4397 0.3127 0.9109  4 O 1.49-1.62
8 P 0.4697 0.6069 0.4058  4 O 1.47-1.64
9 P 0.5303 0.1069 0.5942  4 O 1.47-1.64
10 P 0.5603 0.8127 0.0891  4 O 1.49-1.62
11 P 0.9216 0.9916 0.5875  4 O 1.50-1.61
12 P 0.9293 0.6425 0.0634  4 O 1.48-1.61
13 O 0.0065 0.1225 0.7171  2 P 1.60-1.61
14 O 0.0179 0.8487 0.6421  1 P 1.50
15 O 0.0695 0.5399 0.6139  1 P 1.52
16 O 0.1120 0.6909 0.9770  1 P 1.51
17 O 0.1750 0.0136 0.0214  1 P 1.48
18 O 0.2076 0.2833 0.9243  2 P 1.60-1.62
19 O 0.3031 0.4806 0.3631  2 P 1.61-1.64
20 O 0.3409 0.0412 0.5259  1 P 1.47
21 O 0.3776 0.7207 0.5252  1 P 1.52
22 O 0.4554 0.4523 0.8075  1 P 1.49
23 O 0.4619 0.7948 0.8930  1 P 1.52
24 O 0.4837 0.6744 0.2026  2 P 1.60-1.62
25 O 0.5163 0.1744 0.7974  2 P 1.60-1.62
26 O 0.5381 0.2948 0.1070  1 P 1.52
27 O 0.5446 0.9523 0.1925  1 P 1.49
28 O 0.6224 0.2207 0.4748  1 P 1.52
29 O 0.6591 0.5412 0.4741  1 P 1.47
30 O 0.6969 0.9806 0.6369  2 P 1.61-1.64
31 O 0.7924 0.7833 0.0757  2 P 1.60-1.62
32 O 0.8250 0.5136 0.9786  1 P 1.48
33 O 0.8880 0.1909 0.0230  1 P 1.51
34 O 0.9305 0.0399 0.3861  1 P 1.52
35 O 0.9821 0.3487 0.3579  1 P 1.50
36 O 0.9935 0.6225 0.2829  2 P 1.60-1.61

Computed properties:
- size of the total moment (μB/atom) = 0.2778
- crystal system = monoclinic
- volume (Å³/f.u.) = 225
- calculated formation energy (eV/atom) = -2.481



(3)
The following is a PBE with a Hubbard U calculation of a relaxed CaV5H19O23 crystal, from the Materials Project database.

Lattice parameters (Å, degrees): 9.7534 10.1119 10.8846 89.49 76.01 70.05
Closest atoms and distances in Å follow each position.
Element x y z (fractional)
1 Ca 0.1613 0.2306 0.0916  7 O 2.34-2.53
2 Ca 0.8387 0.7694 0.9084  7 O 2.34-2.53
3 V 0.1758 0.6980 0.4028  1 O 1.64
4 V 0.3412 0.7800 0.5935  1 O 1.63
5 V 0.3492 0.4598 0.5544  3 O 1.73-1.94
6 V 0.4730 0.7677 0.2937  1 O 1.63
7 V 0.4819 0.4564 0.2558  3 O 1.64-1.84
8 V 0.5181 0.5436 0.7442  3 O 1.64-1.84
9 V 0.5270 0.2323 0.7063  1 O 1.63
10 V 0.6508 0.5402 0.4456  3 O 1.73-1.94
11 V 0.6588 0.2200 0.4065  1 O 1.63
12 V 0.8242 0.3020 0.5972  1 O 1.64
13 H 0.0049 0.1219 0.3291  1 O 0.99
14 H 0.0125 0.4053 0.3588  1 O 0.98
15 H 0.0341 0.2529 0.8605  1 O 0.98
16 H 0.1298 0.5608 0.9322  1 O 0.99
17 H 0.1455 0.9883 0.2652  1 O 0.98
18 H 0.1674 0.4271 0.3051  1 O 0.98
19 H 0.1754 0.2945 0.7948  1 O 0.98
20 H 0.1818 0.6276 0.8039  1 O 1.00
21 H 0.1842 0.7322 0.9986  1 O 0.98
22 H 0.1872 0.9374 0.0152  1 O 0.99
23 H 0.1933 0.1782 0.5175  1 O 1.00
24 H 0.2350 0.7564 0.1223  1 O 0.98
25 H 0.2353 0.9988 0.8843  1 O 0.98
26 H 0.2566 0.4775 0.1043  1 O 0.98
27 H 0.3397 0.4130 0.9621  1 O 1.00
28 H 0.3529 0.0201 0.4616  1 O 1.10
29 H 0.3532 0.1998 0.4379  1 O 1.00
30 H 0.4618 0.0419 0.1324  1 O 0.98
31 H 0.4745 0.1933 0.1167  1 O 0.98
32 H 0.5255 0.8067 0.8833  1 O 0.98
33 H 0.5382 0.9581 0.8676  1 O 0.98
34 H 0.6468 0.8002 0.5621  1 O 1.00
35 H 0.6471 0.9799 0.5384  1 O 1.10
36 H 0.6603 0.5870 0.0379  1 O 1.00
37 H 0.7434 0.5225 0.8957  1 O 0.98
38 H 0.7647 0.0012 0.1157  1 O 0.98
39 H 0.7650 0.2436 0.8777  1 O 0.98
40 H 0.8067 0.8218 0.4825  1 O 1.00
41 H 0.8128 0.0626 0.9848  1 O 0.99
42 H 0.8158 0.2678 0.0014  1 O 0.98
43 H 0.8182 0.3724 0.1961  1 O 1.00
44 H 0.8246 0.7055 0.2052  1 O 0.98
45 H 0.8326 0.5729 0.6949  1 O 0.98
46 H 0.8545 0.0117 0.7348  1 O 0.98
47 H 0.8702 0.4392 0.0678  1 O 0.99
48 H 0.9659 0.7471 0.1395  1 O 0.98
49 H 0.9875 0.5947 0.6412  1 O 0.98
50 H 0.9951 0.8781 0.6709  1 O 0.99
51 O 0.0000 0.2461 0.6069  1 V 1.64, 1 H 1.79
52 O 0.0000 0.7539 0.3931  1 V 1.64, 1 H 1.79
53 O 0.0882 0.0856 0.2520  2 H 0.98-0.99
54 O 0.1022 0.6459 0.8853  2 H 0.99-1.00
55 O 0.1098 0.2895 0.8769  2 H 0.98
56 O 0.1101 0.3659 0.2961  2 H 0.98
57 O 0.1552 0.7929 0.0776  2 H 0.98
58 O 0.1652 0.8022 0.5483  1 H 1.79, 2 V 1.84-1.87
59 O 0.1755 0.5426 0.5217  1 V 1.74, 1 H 1.88
60 O 0.2153 0.0168 0.9762  2 H 0.98-0.99
61 O 0.2449 0.4317 0.0303  2 H 0.98-1.00
62 O 0.2708 0.8044 0.2986  2 V 1.86-1.87, 1 H 1.93
63 O 0.2775 0.5413 0.2759  1 H 1.81, 2 V 1.84-1.93
64 O 0.2901 0.8956 0.7141  1 V 1.63
65 O 0.2950 0.1341 0.4578  3 H 1.00-1.10
66 O 0.3282 0.6063 0.6808  1 H 1.66
67 O 0.3302 0.3335 0.6592  1 V 1.73
68 O 0.4088 0.1388 0.1144  2 H 0.98
69 O 0.4118 0.8747 0.4569  1 H 1.38
70 O 0.4282 0.5978 0.4343  4 V 2.08-2.32
71 O 0.4415 0.3300 0.4035  1 H 1.80, 1 V 1.94
72 O 0.4634 0.6598 0.8667  1 V 1.64, 1 H 1.81
73 O 0.4695 0.3959 0.8164  1 H 1.74, 2 V 1.83-1.89
74 O 0.4765 0.1235 0.8022  1 V 1.63, 1 H 1.78
75 O 0.5235 0.8765 0.1978  1 V 1.63, 1 H 1.78
76 O 0.5305 0.6041 0.1836  1 H 1.74, 2 V 1.83-1.89
77 O 0.5366 0.3402 0.1333  1 V 1.64, 1 H 1.81
78 O 0.5585 0.6700 0.5965  1 H 1.80, 1 V 1.94
79 O 0.5718 0.4022 0.5657  4 V 2.08-2.32
80 O 0.5882 0.1253 0.5431  1 H 1.38
81 O 0.5912 0.8612 0.8856  2 H 0.98
82 O 0.6698 0.6665 0.3408  1 V 1.73
83 O 0.6718 0.3937 0.3192  1 H 1.66
84 O 0.7050 0.8659 0.5422  3 H 1.00-1.10
85 O 0.7099 0.1044 0.2859  1 V 1.63
86 O 0.7225 0.4587 0.7241  1 H 1.81, 2 V 1.84-1.93
87 O 0.7292 0.1956 0.7014  2 V 1.86-1.87, 1 H 1.93
88 O 0.7551 0.5683 0.9697  2 H 0.98-1.00
89 O 0.7847 0.9832 0.0238  2 H 0.98-0.99
90 O 0.8245 0.4574 0.4783  1 V 1.74, 1 H 1.88
91 O 0.8348 0.1978 0.4517  1 H 1.79, 2 V 1.84-1.87
92 O 0.8448 0.2071 0.9224  2 H 0.98
93 O 0.8899 0.6341 0.7039  2 H 0.98
94 O 0.8902 0.7105 0.1231  2 H 0.98
95 O 0.8978 0.3541 0.1147  2 H 0.99-1.00
96 O 0.9118 0.9144 0.7480  2 H 0.98-0.99

Computed properties:
- size of the total moment (μB/atom) = 0.0000
- crystal system = triclinic
- volume (Å³/f.u.) = 488
- calculated formation energy (eV/atom) = -1.738



(4)
The following is a PBE with a Hubbard U calculation of a relaxed Na3CoBSO7 crystal, from the Materials Project database.

Lattice parameters (Å, degrees): 6.8489 10.3273 10.5285 60.93 89.99 89.99
Closest atoms and distances in Å follow each position.
Element x y z (fractional)
1 Na 0.0000 0.0000 0.0000  4 O 2.26-2.47
2 Na 0.9997 0.4994 0.5010  4 O 2.26-2.49
3 Na 0.0155 0.0025 0.5170  4 O 2.26-2.49
4 Na 0.0159 0.5026 0.0180  4 O 2.25-2.46
5 Na 0.2571 0.1589 0.6657  3 O 2.34-2.54
6 Na 0.2580 0.6602 0.1647  3 O 2.34-2.54
7 Na 0.4998 0.0030 0.5165  4 O 2.26-2.49
8 Na 0.5002 0.5022 0.0177  4 O 2.26-2.47
9 Na 0.5157 0.9997 0.9998  4 O 2.26-2.46
10 Na 0.5156 0.4997 0.5008  4 O 2.26-2.49
11 Na 0.7572 0.3435 0.3518  3 O 2.34-2.54
12 Na 0.7578 0.8421 0.8530  3 O 2.34-2.54
13 Co 0.2556 0.2177 0.2075  6 O 2.03-2.25
14 Co 0.2574 0.7161 0.7078  6 O 2.02-2.23
15 Co 0.7560 0.2842 0.8103  6 O 2.03-2.25
16 Co 0.7580 0.7863 0.3098  6 O 2.02-2.23
17 B 0.2579 0.8352 0.8595  3 O 1.36-1.41
18 B 0.2589 0.3351 0.3600  3 O 1.36-1.41
19 B 0.7585 0.1674 0.6574  3 O 1.36-1.41
20 B 0.7578 0.6672 0.1581  3 O 1.36-1.41
21 S 0.2573 0.3538 0.8268  4 O 1.49-1.50
22 S 0.2579 0.8538 0.3253  4 O 1.49-1.50
23 S 0.7576 0.1485 0.1911  4 O 1.49-1.50
24 S 0.7578 0.6485 0.6922  4 O 1.49-1.50
25 O 0.0833 0.7749 0.3117  1 S 1.49
26 O 0.0836 0.2733 0.8151  1 S 1.49
27 O 0.2562 0.1805 0.4149  1 B 1.41
28 O 0.2561 0.3567 0.9669  1 S 1.49
29 O 0.2568 0.0115 0.2043  1 S 1.50
30 O 0.2573 0.5103 0.7031  1 S 1.50
31 O 0.2579 0.3985 0.4470  1 B 1.36
32 O 0.2582 0.6809 0.9145  1 B 1.41
33 O 0.2578 0.8526 0.4674  1 S 1.49
34 O 0.2579 0.8994 0.9458  1 B 1.36
35 O 0.2575 0.9148 0.7071  1 B 1.40
36 O 0.2608 0.4157 0.2076  1 B 1.40
37 O 0.4331 0.2741 0.8165  1 S 1.49
38 O 0.4330 0.7755 0.3114  1 S 1.49
39 O 0.5829 0.7270 0.7060  1 S 1.49
40 O 0.5838 0.2289 0.2031  1 S 1.49
41 O 0.7564 0.1457 0.0509  1 S 1.49
42 O 0.7565 0.3219 0.6026  1 B 1.41
43 O 0.7573 0.4907 0.8131  1 S 1.50
44 O 0.7576 0.1040 0.5706  1 B 1.36
45 O 0.7580 0.5876 0.3105  1 B 1.40
46 O 0.7581 0.6030 0.0717  1 B 1.36
47 O 0.7581 0.6500 0.5500  1 S 1.49
48 O 0.7575 0.8215 0.1030  1 B 1.41
49 O 0.7578 0.9919 0.3147  1 S 1.50
50 O 0.7597 0.0867 0.8100  1 B 1.40
51 O 0.9333 0.2282 0.2014  1 S 1.49
52 O 0.9326 0.7271 0.7062  1 S 1.49

Computed properties:
- size of the total moment (μB/atom) = 0.2308
- crystal system = triclinic
- volume (Å³/f.u.) = 163
- calculated formation energy (eV/atom) = -2.115



(5)
The following is a PBE with a Hubbard U calculation of a relaxed Li2Ti3MnO8 crystal, from the Materials Project database.

Lattice parameters (Å, degrees): 5.9765 5.9767 10.7671 90.00 106.11 120.00
Closest atoms and distances in Å follow each position.
Element x y z (fractional)
1 Li 0.1166 0.0582 0.1749  3 O 2.00
2 Li 0.1165 0.5583 0.6749  3 O 2.00
3 Li 0.8835 0.4417 0.3252  3 O 2.00
4 Li 0.8834 0.9417 0.8252  3 O 2.00
5 Ti 0.5001 0.0002 0.4999  6 O 1.97-2.03
6 Ti 0.4999 0.4998 0.9998  6 O 1.97-2.03
7 Ti 0.5000 0.5001 0.5001  6 O 1.97-2.03
8 Ti 0.5004 0.0001 0.0001  6 O 1.97-2.03
9 Ti 0.0002 0.9998 0.5001  6 O 1.97-2.03
10 Ti 0.0003 0.5002 0.0001  6 O 1.97-2.03
11 Mn 0.5002 0.7501 0.2501  6 O 2.17
12 Mn 0.4999 0.2500 0.7500  6 O 2.17
13 O 0.2631 0.1315 0.3947  3 Ti 2.03, 1 Li 2.24
14 O 0.2631 0.6315 0.8947  3 Ti 2.03, 1 Li 2.24
15 O 0.7368 0.3684 0.1053  3 Ti 2.03, 1 Li 2.24
16 O 0.7368 0.8684 0.6053  3 Ti 2.03, 1 Li 2.24
17 O 0.7087 0.3543 0.6043  2 Ti 1.97, 1 Li 2.00, 1 Mn 2.17
18 O 0.7088 0.8545 0.1042  2 Ti 1.97, 1 Li 2.00, 1 Mn 2.17
19 O 0.2498 0.8955 0.6043  2 Ti 1.97, 1 Li 2.00, 1 Mn 2.17
20 O 0.2498 0.3955 0.1042  2 Ti 1.97, 1 Li 2.00, 1 Mn 2.17
21 O 0.2498 0.3544 0.6042  2 Ti 1.97, 1 Li 2.00, 1 Mn 2.17
22 O 0.2498 0.8543 0.1043  2 Ti 1.97, 1 Li 2.00, 1 Mn 2.17
23 O 0.7500 0.1456 0.8957  2 Ti 1.97, 1 Li 2.00, 1 Mn 2.17
24 O 0.7502 0.6456 0.3958  2 Ti 1.97, 1 Li 2.00, 1 Mn 2.17
25 O 0.7500 0.6045 0.8957  2 Ti 1.97, 1 Li 2.00, 1 Mn 2.17
26 O 0.7500 0.1045 0.3957  2 Ti 1.97, 1 Li 2.00, 1 Mn 2.17
27 O 0.2911 0.1456 0.8957  2 Ti 1.97, 1 Li 2.00, 1 Mn 2.17
28 O 0.2912 0.6456 0.3957  2 Ti 1.97, 1 Li 2.00, 1 Mn 2.17

Computed properties:
- size of the total moment (μB/atom) = 0.0000
- volume (Å³/f.u.) = 158
- calculated formation energy (eV/atom) = -3.046



no.,total DFT energy (no corrections) (eV/atom)
1,-8.690
2,-6.975
3,-5.934
4,-5.967
5,-7.980